This record from the Materials Project describes Ba7Na3Ti7Nb3O30 after structural relaxation. The functional is GGA-PBE.

Properties
- Raw total energy: -394.40 eV/cell
- Calculated formation energy: -3272 meV per atom

Lattice parameters (Å, degrees): 8.057 4.029 20.173 90.00 90.03 90.00
Space group Pm (No. 6)
Symmetry-distinct sites (fractional):
Ba 0.000 0.000 0.000
Ba 0.000 0.000 0.201
Ba 0.001 0.000 0.395
Ba 0.004 0.000 0.800
Ba 0.493 0.000 0.800
Ba 0.497 0.000 0.000
Ba 0.497 0.000 0.201
Na 0.004 0.000 0.601
Na 0.493 0.000 0.601
Na 0.497 0.000 0.396
Ti 0.249 0.500 0.101
Ti 0.249 0.500 0.696
Ti 0.249 0.500 0.899
Ti 0.256 0.500 0.302
Ti 0.742 0.500 0.299
Ti 0.748 0.500 0.101
Ti 0.749 0.500 0.902
Nb 0.251 0.500 0.503
Nb 0.744 0.500 0.498
Nb 0.749 0.500 0.696
O 0.249 0.000 0.099
O 0.249 0.000 0.500
O 0.249 0.000 0.698
O 0.249 0.000 0.900
O 0.249 0.500 0.400
O 0.249 0.500 0.800
O 0.249 0.500 0.999
O 0.250 0.000 0.300
O 0.250 0.500 0.199
O 0.250 0.500 0.599
O 0.498 0.500 0.501
O 0.498 0.500 0.698
O 0.499 0.500 0.300
O 0.499 0.500 0.899
O 0.500 0.500 0.099
O 0.747 0.000 0.300
O 0.747 0.500 0.200
O 0.748 0.000 0.099
O 0.748 0.000 0.501
O 0.748 0.500 0.400
O 0.748 0.500 0.599
O 0.749 0.000 0.698
O 0.749 0.000 0.899
O 0.749 0.500 0.798
O 0.749 0.500 0.999
O 0.997 0.500 0.099
O 0.998 0.500 0.301
O 0.998 0.500 0.899
O 0.999 0.500 0.500
O 0.999 0.500 0.698


This record from the Materials Project describes Ba3Na2Ti3Nb2O15 after structural relaxation. The functional is GGA-PBE.

Properties
- Raw total energy: -392.37 eV/cell
- Calculated formation energy: -3199 meV per atom

Lattice parameters (Å, degrees): 5.686 28.474 4.028 90.00 90.00 90.00
Space group Cmmm (No. 65)
Symmetry-distinct sites (fractional):
Ba 0.000 0.000 0.000
Ba 0.000 0.401 0.000
Na 0.000 0.199 0.000
Ti 0.000 0.101 0.500
Ti 0.000 0.500 0.500
Nb 0.000 0.299 0.500
O 0.000 0.101 0.000
O 0.000 0.299 0.000
O 0.000 0.500 0.000
O 0.249 0.450 0.500
O 0.250 0.150 0.500
O 0.250 0.250 0.500


Copy entry 2 word for word.
This record from the Materials Project describes Ba3Na2Ti3Nb2O15 after structural relaxation. The functional is GGA-PBE.

Properties
- Raw total energy: -392.37 eV/cell
- Calculated formation energy: -3199 meV per atom

Lattice parameters (Å, degrees): 5.686 28.474 4.028 90.00 90.00 90.00
Space group Cmmm (No. 65)
Symmetry-distinct sites (fractional):
Ba 0.000 0.000 0.000
Ba 0.000 0.401 0.000
Na 0.000 0.199 0.000
Ti 0.000 0.101 0.500
Ti 0.000 0.500 0.500
Nb 0.000 0.299 0.500
O 0.000 0.101 0.000
O 0.000 0.299 0.000
O 0.000 0.500 0.000
O 0.249 0.450 0.500
O 0.250 0.150 0.500
O 0.250 0.250 0.500


Q: Look up the calculated formation energy of the first one.
A: -3272 meV per atom


Q: What is the calculated formation energy in the second record?
A: -3199 meV per atom